## Li2CuAsO4 (PBE)

Data for crystalline Li2CuAsO4 at its relaxed geometry.

Calculated values
E (MP2020) in eV/atom: -5.8273
Energy relative to the elements in kJ/mol of atoms: -172
Symmetry: P2_1/c (14)

Cell lengths 6.9797, 5.1741, 10.9090 Å; angles 90.00, 91.47, 90.00 degrees
Fractional positions:
Li: 0.0114 0.2316 0.3463
Li: 0.0114 0.2684 0.8463
Li: 0.3220 0.7301 0.8004
Li: 0.3220 0.7699 0.3004
Li: 0.6780 0.2301 0.6996
Li: 0.6780 0.2699 0.1996
Li: 0.9886 0.7316 0.1537
Li: 0.9886 0.7684 0.6537
Cu: 0.4999 0.1954 0.9137
Cu: 0.4999 0.3046 0.4137
Cu: 0.5001 0.6954 0.5863
Cu: 0.5001 0.8046 0.0863
As: 0.2354 0.2493 0.6121
As: 0.2354 0.2507 0.1121
As: 0.7646 0.7493 0.8879
As: 0.7646 0.7507 0.3879
O: 0.0226 0.1490 0.6704
O: 0.0226 0.3510 0.1704
O: 0.2470 0.2020 0.4548
O: 0.2470 0.2980 0.9548
O: 0.2493 0.5840 0.6354
O: 0.2493 0.9160 0.1354
O: 0.4163 0.0858 0.6905
O: 0.4163 0.4142 0.1905
O: 0.5837 0.5858 0.8095
O: 0.5837 0.9142 0.3095
O: 0.7507 0.0840 0.8646
O: 0.7507 0.4160 0.3646
O: 0.7530 0.7020 0.0452
O: 0.7530 0.7980 0.5452
O: 0.9774 0.6490 0.8296
O: 0.9774 0.8510 0.3296